*P*
{
  "formula": "Na9Nb4Zn2Si6P3O36",
  "functional": "GGA-PBE",
  "state": "relaxed",
  "lattice": [[9.1021, 0.0000, 0.0000], [0.0147, 22.2973, 0.0000], [4.5377, 0.0190, 23.5828]],
  "species": ["Na", "Na", "Na", "Na", "Na", "Na", "Na", "Na", "Na", "Na", "Na", "Na", "Na", "Na", "Na", "Na", "Na", "Na", "Na", "Na", "Na", "Na", "Na", "Na", "Na", "Na", "Na", "Na", "Na", "Na", "Na", "Na", "Na", "Na", "Na", "Na", "Na", "Na", "Na", "Na", "Na", "Na", "Na", "Na", "Na", "Na", "Na", "Na", "Na", "Na", "Na", "Na", "Na", "Na", "Nb", "Nb", "Nb", "Nb", "Nb", "Nb", "Nb", "Nb", "Nb", "Nb", "Nb", "Nb", "Nb", "Nb", "Nb", "Nb", "Nb", "Nb", "Nb", "Nb", "Nb", "Nb", "Nb", "Nb", "Zn", "Zn", "Zn", "Zn", "Zn", "Zn", "Zn", "Zn", "Zn", "Zn", "Zn", "Zn", "Si", "Si", "Si", "Si", "Si", "Si", "Si", "Si", "Si", "Si", "Si", "Si", "Si", "Si", "Si", "Si", "Si", "Si", "Si", "Si", "Si", "Si", "Si", "Si", "Si", "Si", "Si", "Si", "Si", "Si", "Si", "Si", "Si", "Si", "Si", "Si", "P", "P", "P", "P", "P", "P", "P", "P", "P", "P", "P", "P", "P", "P", "P", "P", "P", "P", "O", "O", "O", "O", "O", "O", "O", "O", "O", "O", "O", "O", "O", "O", "O", "O", "O", "O", "O", "O", "O", "O", "O", "O", "O", "O", "O", "O", "O", "O", "O", "O", "O", "O", "O", "O", "O", "O", "O", "O", "O", "O", "O", "O", "O", "O", "O", "O", "O", "O", "O", "O", "O", "O", "O", "O", "O", "O", "O", "O", "O", "O", "O", "O", "O", "O", "O", "O", "O", "O", "O", "O", "O", "O", "O", "O", "O", "O", "O", "O", "O", "O", "O", "O", "O", "O", "O", "O", "O", "O", "O", "O", "O", "O", "O", "O", "O", "O", "O", "O", "O", "O", "O", "O", "O", "O", "O", "O", "O", "O", "O", "O", "O", "O", "O", "O", "O", "O", "O", "O", "O", "O", "O", "O", "O", "O", "O", "O", "O", "O", "O", "O", "O", "O", "O", "O", "O", "O", "O", "O", "O", "O", "O", "O", "O", "O", "O", "O", "O", "O", "O", "O", "O", "O", "O", "O", "O", "O", "O", "O", "O", "O", "O", "O", "O", "O", "O", "O", "O", "O", "O", "O", "O", "O", "O", "O", "O", "O", "O", "O", "O", "O", "O", "O", "O", "O", "O", "O", "O", "O", "O", "O", "O", "O", "O", "O", "O", "O", "O", "O", "O", "O", "O", "O", "O", "O", "O", "O", "O", "O", "O", "O", "O", "O", "O", "O"],
  "frac_coords": [[0.0000, 0.0000, 0.0000], [0.0006, 0.4139, 0.6756], [0.0085, 0.0930, 0.6584], [0.0122, 0.9269, 0.3510], [0.0131, 0.4946, 0.9953], [0.0436, 0.7476, 0.6733], [0.0530, 0.5939, 0.3240], [0.0941, 0.4219, 0.4375], [0.1120, 0.7477, 0.4535], [0.1242, 0.3326, 0.7814], [0.1322, 0.2582, 0.1171], [0.1530, 0.8295, 0.7742], [0.1630, 0.0940, 0.4383], [0.1643, 0.9186, 0.0925], [0.1880, 0.9145, 0.8937], [0.2209, 0.0949, 0.2371], [0.2239, 0.7481, 0.2130], [0.2319, 0.1804, 0.5550], [0.2381, 0.6703, 0.5553], [0.2446, 0.2471, 0.8729], [0.2655, 0.5859, 0.8960], [0.2890, 0.2547, 0.6671], [0.3091, 0.4153, 0.0088], [0.3310, 0.0828, 0.9919], [0.3420, 0.5100, 0.3311], [0.3561, 0.5944, 0.6607], [0.3641, 0.0149, 0.3329], [0.4209, 0.5940, 0.4386], [0.4556, 0.2579, 0.4604], [0.4622, 0.3362, 0.1087], [0.4645, 0.8411, 0.1070], [0.4786, 0.0907, 0.7802], [0.4930, 0.9295, 0.4317], [0.5257, 0.9279, 0.2166], [0.5535, 0.6642, 0.8880], [0.5682, 0.5973, 0.2392], [0.5845, 0.1712, 0.8939], [0.5873, 0.2462, 0.2155], [0.6107, 0.4266, 0.5483], [0.6640, 0.4276, 0.3501], [0.6645, 0.9943, 0.6644], [0.6804, 0.5041, 0.6679], [0.6954, 0.5807, 0.9822], [0.7015, 0.9207, 0.0172], [0.7489, 0.5801, 0.7853], [0.7826, 0.8440, 0.4448], [0.7896, 0.4123, 0.0936], [0.8058, 0.3429, 0.4450], [0.8150, 0.9144, 0.7587], [0.8170, 0.2445, 0.7890], [0.8470, 0.9200, 0.5558], [0.8921, 0.1707, 0.2273], [0.8940, 0.6729, 0.2188], [0.9019, 0.7482, 0.8741], [0.0070, 0.1506, 0.9994], [0.0143, 0.6528, 0.0024], [0.1268, 0.9831, 0.7770], [0.1304, 0.4836, 0.7783], [0.2264, 0.5229, 0.5565], [0.2388, 0.8151, 0.5581], [0.2416, 0.0272, 0.5533], [0.3445, 0.3562, 0.3310], [0.3457, 0.8569, 0.3329], [0.4512, 0.4836, 0.1107], [0.4563, 0.6940, 0.1103], [0.4593, 0.1886, 0.1096], [0.5648, 0.8136, 0.8876], [0.5715, 0.3191, 0.8891], [0.5743, 0.0259, 0.8884], [0.6775, 0.1477, 0.6668], [0.6777, 0.3597, 0.6650], [0.6781, 0.6510, 0.6663], [0.7854, 0.6928, 0.4450], [0.7950, 0.1914, 0.4438], [0.8967, 0.0263, 0.2234], [0.8996, 0.8149, 0.2214], [0.9071, 0.3166, 0.2216], [0.9094, 0.5251, 0.2213], [0.0070, 0.8493, 0.0016], [0.0105, 0.3513, 0.0027], [0.1283, 0.1815, 0.7775], [0.1349, 0.6848, 0.7755], [0.2282, 0.3202, 0.5584], [0.3479, 0.6604, 0.3314], [0.3565, 0.1583, 0.3297], [0.4540, 0.9911, 0.1087], [0.5679, 0.5186, 0.8849], [0.6755, 0.8569, 0.6647], [0.7901, 0.9876, 0.4466], [0.7925, 0.4884, 0.4488], [0.0009, 0.4217, 0.3199], [0.0224, 0.5893, 0.6813], [0.0431, 0.9220, 0.6515], [0.0538, 0.7508, 0.3324], [0.0998, 0.4203, 0.1228], [0.1117, 0.7604, 0.0963], [0.1373, 0.9197, 0.4590], [0.1620, 0.0855, 0.1118], [0.1928, 0.9204, 0.2206], [0.2182, 0.0890, 0.8754], [0.2466, 0.2485, 0.2356], [0.2617, 0.5889, 0.2091], [0.3043, 0.2559, 0.9992], [0.3176, 0.0907, 0.6799], [0.3340, 0.4183, 0.6526], [0.3578, 0.5874, 0.0131], [0.4178, 0.5907, 0.7803], [0.4448, 0.7520, 0.4301], [0.4712, 0.9205, 0.7905], [0.4833, 0.2543, 0.7638], [0.5419, 0.7514, 0.2352], [0.5824, 0.2542, 0.5692], [0.5928, 0.5847, 0.5412], [0.6132, 0.4210, 0.2217], [0.6384, 0.2542, 0.3334], [0.6546, 0.0813, 0.0145], [0.7058, 0.9208, 0.3192], [0.7210, 0.7572, 0.9994], [0.7446, 0.5869, 0.1109], [0.7694, 0.4231, 0.7917], [0.8156, 0.2572, 0.0969], [0.8355, 0.0901, 0.7787], [0.8603, 0.9189, 0.8894], [0.8731, 0.7582, 0.5703], [0.8880, 0.0830, 0.5405], [0.9421, 0.4159, 0.5530], [0.0842, 0.5846, 0.4436], [0.1522, 0.2504, 0.4296], [0.2063, 0.7566, 0.9015], [0.2742, 0.4227, 0.8894], [0.3793, 0.9202, 0.9850], [0.3899, 0.7576, 0.6684], [0.4257, 0.4180, 0.4580], [0.5016, 0.0855, 0.4422], [0.5238, 0.9207, 0.5566], [0.5538, 0.0840, 0.2096], [0.6663, 0.4254, 0.9849], [0.6976, 0.5843, 0.3481], [0.7753, 0.7564, 0.7635], [0.8093, 0.9222, 0.1254], [0.9166, 0.2579, 0.9040], [0.9344, 0.5909, 0.8746], [0.9690, 0.2540, 0.6654], [0.9835, 0.0838, 0.3474], [0.0068, 0.2516, 0.8434], [0.0068, 0.7572, 0.1606], [0.0104, 0.4760, 0.1622], [0.0214, 0.5358, 0.8422], [0.0305, 0.2585, 0.7205], [0.0339, 0.0828, 0.1707], [0.0373, 0.5308, 0.7225], [0.0408, 0.3596, 0.1588], [0.0523, 0.4761, 0.5611], [0.0550, 0.4250, 0.0617], [0.0549, 0.7025, 0.0608], [0.0558, 0.3616, 0.5410], [0.0600, 0.7554, 0.5648], [0.0706, 0.0844, 0.5443], [0.0764, 0.9794, 0.2305], [0.0772, 0.2610, 0.2239], [0.0771, 0.5834, 0.2148], [0.0860, 0.1001, 0.0561], [0.0894, 0.8614, 0.2143], [0.0899, 0.6496, 0.7021], [0.0897, 0.9274, 0.7145], [0.0917, 0.2504, 0.6129], [0.1082, 0.8218, 0.0630], [0.1129, 0.9790, 0.6097], [0.1156, 0.0923, 0.9394], [0.1254, 0.8602, 0.6218], [0.1292, 0.5764, 0.6179], [0.1331, 0.8139, 0.9288], [0.1509, 0.4128, 0.9410], [0.1508, 0.7001, 0.9402], [0.1530, 0.6918, 0.3162], [0.1543, 0.0885, 0.3387], [0.1560, 0.5825, 0.4989], [0.1597, 0.8095, 0.3429], [0.1631, 0.0301, 0.8426], [0.1645, 0.7506, 0.8431], [0.1647, 0.8620, 0.5000], [0.1778, 0.4138, 0.3262], [0.1810, 0.5945, 0.0066], [0.1928, 0.2572, 0.4879], [0.1968, 0.9805, 0.4878], [0.2017, 0.1981, 0.9873], [0.2066, 0.3076, 0.3913], [0.2078, 0.3154, 0.0176], [0.2101, 0.4252, 0.8332], [0.2101, 0.9212, 0.9886], [0.2143, 0.5897, 0.3925], [0.2271, 0.1508, 0.7008], [0.2266, 0.1937, 0.4019], [0.2291, 0.4326, 0.7150], [0.2357, 0.1480, 0.8361], [0.2501, 0.1874, 0.2689], [0.2525, 0.7529, 0.7163], [0.2527, 0.9150, 0.3968], [0.2576, 0.9159, 0.2808], [0.2608, 0.0262, 0.0953], [0.2613, 0.0342, 0.7238], [0.2675, 0.3583, 0.6311], [0.2678, 0.1436, 0.1231], [0.2828, 0.0776, 0.6163], [0.2831, 0.4236, 0.1182], [0.2827, 0.7474, 0.1066], [0.2900, 0.9250, 0.7905], [0.3051, 0.2562, 0.7700], [0.3055, 0.5837, 0.2706], [0.3085, 0.3054, 0.2716], [0.3090, 0.5317, 0.7700], [0.3086, 0.6465, 0.7926], [0.3159, 0.6496, 0.1737], [0.3195, 0.4772, 0.6105], [0.3230, 0.7562, 0.6110], [0.3254, 0.9236, 0.1658], [0.3424, 0.4749, 0.4887], [0.3436, 0.7636, 0.4941], [0.3507, 0.5321, 0.1705], [0.3590, 0.4798, 0.8986], [0.3596, 0.2506, 0.1730], [0.3697, 0.4165, 0.3994], [0.3732, 0.6933, 0.4075], [0.3739, 0.5255, 0.0510], [0.3788, 0.0860, 0.4992], [0.3816, 0.7575, 0.8975], [0.3846, 0.2416, 0.0549], [0.3871, 0.3613, 0.4931], [0.3870, 0.3667, 0.8821], [0.3914, 0.0771, 0.8860], [0.4079, 0.5856, 0.5456], [0.4088, 0.6416, 0.0519], [0.4098, 0.2538, 0.5628], [0.4148, 0.0925, 0.3938], [0.4179, 0.8650, 0.5552], [0.4200, 0.9768, 0.5555], [0.4283, 0.8112, 0.3898], [0.4284, 0.9172, 0.0424], [0.4353, 0.2617, 0.9414], [0.4395, 0.9778, 0.9508], [0.4463, 0.8090, 0.2699], [0.4557, 0.0887, 0.2686], [0.4570, 0.8651, 0.9495], [0.4641, 0.5878, 0.9518], [0.4810, 0.8122, 0.6734], [0.4851, 0.4135, 0.2800], [0.4880, 0.6981, 0.6637], [0.4878, 0.7525, 0.1736], [0.4878, 0.8622, 0.8324], [0.5003, 0.0928, 0.6770], [0.5041, 0.5830, 0.8323], [0.5060, 0.6908, 0.2701], [0.5079, 0.0272, 0.1815], [0.5134, 0.4183, 0.6563], [0.5166, 0.9796, 0.8266], [0.5236, 0.9163, 0.3206], [0.5257, 0.3145, 0.3455], [0.5331, 0.1410, 0.1730], [0.5347, 0.5903, 0.3409], [0.5364, 0.2616, 0.8264], [0.5433, 0.4270, 0.1639], [0.5443, 0.5933, 0.7197], [0.5489, 0.1992, 0.3141], [0.5537, 0.4217, 0.0445], [0.5555, 0.3096, 0.7204], [0.5562, 0.1366, 0.0511], [0.5701, 0.1929, 0.7359], [0.5835, 0.9195, 0.7311], [0.5850, 0.7437, 0.0536], [0.5897, 0.0270, 0.4362], [0.5919, 0.9224, 0.6087], [0.5953, 0.4264, 0.4465], [0.5986, 0.0841, 0.9526], [0.6041, 0.1416, 0.4477], [0.6089, 0.1992, 0.6131], [0.6122, 0.3698, 0.9521], [0.6200, 0.0192, 0.0471], [0.6231, 0.7473, 0.4355], [0.6242, 0.6002, 0.6056], [0.6287, 0.6433, 0.1226], [0.6343, 0.2427, 0.1089], [0.6353, 0.3163, 0.5972], [0.6386, 0.9178, 0.5007], [0.6421, 0.4831, 0.9543], [0.6435, 0.9210, 0.1221], [0.6484, 0.5265, 0.0993], [0.6506, 0.7578, 0.9399], [0.6576, 0.6404, 0.4972], [0.6671, 0.5225, 0.5199], [0.6674, 0.7576, 0.8234], [0.6901, 0.4840, 0.8141], [0.6908, 0.0811, 0.8316], [0.6916, 0.2441, 0.5060], [0.7054, 0.3646, 0.8330], [0.7070, 0.2474, 0.3918], [0.7137, 0.4797, 0.2333], [0.7143, 0.5267, 0.3806], [0.7221, 0.7642, 0.2250], [0.7227, 0.3620, 0.2116], [0.7252, 0.0839, 0.2135], [0.7247, 0.6989, 0.7334], [0.7370, 0.4093, 0.7267], [0.7426, 0.9766, 0.8951], [0.7437, 0.2609, 0.8996], [0.7452, 0.9220, 0.3814], [0.7519, 0.6397, 0.3796], [0.7549, 0.8599, 0.8803], [0.7602, 0.0907, 0.7207], [0.7606, 0.9806, 0.2793], [0.7651, 0.5819, 0.8854], [0.7686, 0.8126, 0.7283], [0.7748, 0.2658, 0.2784], [0.7955, 0.8651, 0.2829], [0.7988, 0.0979, 0.6056], [0.7990, 0.8205, 0.5913], [0.7997, 0.8190, 0.0096], [0.8039, 0.5854, 0.2878], [0.8107, 0.7018, 0.6142], [0.8161, 0.5804, 0.1687], [0.8190, 0.4176, 0.6138], [0.8254, 0.4195, 0.9947], [0.8328, 0.0981, 0.0045], [0.8346, 0.0207, 0.5188], [0.8375, 0.8666, 0.1615], [0.8395, 0.6989, 0.9887], [0.8431, 0.5927, 0.6771], [0.8448, 0.7415, 0.5056], [0.8492, 0.3197, 0.0651], [0.8494, 0.9782, 0.1607], [0.8557, 0.4230, 0.5008], [0.8618, 0.2553, 0.1609], [0.8648, 0.3102, 0.6650], [0.8653, 0.9241, 0.6562], [0.8660, 0.1971, 0.6670], [0.8713, 0.1393, 0.4964], [0.8712, 0.5959, 0.0526], [0.8947, 0.4202, 0.3812], [0.9023, 0.1401, 0.3787], [0.9150, 0.2034, 0.0604], [0.9157, 0.9253, 0.0684], [0.9188, 0.1509, 0.7881], [0.9289, 0.7463, 0.3914], [0.9325, 0.1996, 0.9392], [0.9361, 0.7492, 0.7738], [0.9360, 0.9194, 0.9446], [0.9371, 0.0261, 0.3804], [0.9379, 0.0839, 0.2869], [0.9493, 0.0316, 0.7690], [0.9512, 0.3669, 0.2810], [0.9543, 0.4235, 0.7846], [0.9653, 0.9178, 0.4523], [0.9707, 0.3123, 0.9317], [0.9720, 0.6482, 0.8403], [0.9742, 0.7631, 0.2776], [0.9765, 0.2478, 0.4334], [0.9822, 0.6417, 0.4493], [0.9846, 0.9253, 0.8299], [0.9856, 0.4830, 0.2822], [0.9886, 0.5920, 0.9333], [0.9994, 0.5271, 0.4359]],
  "spacegroup": "No. 1",
  "total_magnetization_mub_per_atom": 0.00
}

=====

*Q*
{
  "formula": "Na9Nb4Zn2Si6P3O36",
  "functional": "GGA-PBE",
  "state": "relaxed",
  "lattice": [[-12.3403, -5.4230, -8.1918], [-4.5388, -18.6448, 19.2139], [-0.3841, 6.5161, 6.2493]],
  "species": ["O", "P", "Si", "O", "O", "O", "O", "Nb", "O", "O", "O", "O", "O", "O", "Nb", "Zn", "O", "O", "P", "O", "O", "O", "O", "O", "O", "O", "O", "Na", "Nb", "Zn", "O", "Na", "O", "O", "Na", "Si", "Si", "Si", "O", "O", "O", "O", "O", "Nb", "Si", "Na", "O", "O", "Na", "O", "Si", "O", "O", "O", "Nb", "P", "O", "Si", "O", "O", "O", "Na", "O", "O", "O", "O", "Si", "O", "O", "Na", "Si", "Na", "Nb", "O", "O", "Na", "O", "Na", "Na", "Na", "O", "O", "O", "O", "Na", "O", "Si", "O", "O", "O", "O", "O", "O", "O", "Na", "O", "O", "O", "O", "Na", "Na", "O", "Na", "P", "Si", "O", "O", "O", "O", "O", "Si", "Nb", "P", "O", "P", "O", "Si", "Si", "Si", "Si", "O", "O", "Na", "O", "O", "Zn", "Zn", "Na", "O", "O", "O", "O", "O", "O", "O", "O", "Si", "Nb", "Zn", "P", "O", "Na", "Zn", "Na", "O", "Si", "P", "Zn", "O", "Nb", "O", "Nb", "Nb", "Nb", "O", "O", "O", "O", "Si", "O", "O", "Na", "O", "O", "O", "O", "O", "Na", "O", "O", "O", "O", "Na", "Na", "Na", "O", "O", "P", "O", "O", "O", "Nb", "O", "Na", "Na", "Zn", "Na", "Nb", "Na", "O", "O", "O", "O", "Na", "O", "Si", "Si", "O", "P", "Si", "O", "Na", "O", "O", "O", "Na", "Na", "Si", "Nb", "O", "O", "O", "Nb", "O", "O", "O", "O", "O", "Si", "O", "O", "O", "O", "O", "O", "O", "O", "O", "P", "P", "O", "O", "O", "O", "O", "O", "O", "Na", "O", "Na"],
  "frac_coords": [[0.9612, 0.4420, 0.9246], [0.5016, 0.4867, 0.7413], [0.8526, 0.7988, 0.7533], [0.9245, 0.3802, 0.2439], [0.4287, 0.1832, 0.5791], [0.4261, 0.8528, 0.5668], [0.3489, 0.6451, 0.2459], [0.3912, 0.7498, 0.9329], [0.0845, 0.7124, 0.2471], [0.2354, 0.2259, 0.2520], [0.5845, 0.2124, 0.2471], [0.5614, 0.1455, 0.4163], [0.1447, 0.4526, 0.9225], [0.0635, 0.6874, 0.9187], [0.6067, 0.0842, 0.5681], [0.4011, 0.9170, 0.4597], [0.3404, 0.3108, 0.2528], [0.5846, 0.4546, 0.7399], [0.5022, 0.5128, 0.2425], [0.5847, 0.7877, 0.7441], [0.1449, 0.8593, 0.7392], [0.1353, 0.8811, 0.4053], [0.1400, 0.4733, 0.2443], [0.3570, 0.7253, 0.0910], [0.0430, 0.7776, 0.5471], [0.9309, 0.6170, 0.7678], [0.6439, 0.6388, 0.2413], [0.3173, 0.4811, 0.2117], [0.6059, 0.2503, 0.0620], [0.3992, 0.2498, 0.4431], [0.4617, 0.3919, 0.4296], [0.2587, 0.2452, 0.0302], [0.3569, 0.0580, 0.0890], [0.7551, 0.1046, 0.7418], [0.4862, 0.0266, 0.7168], [0.8496, 0.8695, 0.2483], [0.9942, 0.3208, 0.7420], [0.1461, 0.4673, 0.7391], [0.7520, 0.2296, 0.2385], [0.6379, 0.6156, 0.9094], [0.4471, 0.1471, 0.0770], [0.3491, 0.9634, 0.5679], [0.5642, 0.4772, 0.4110], [0.1061, 0.9157, 0.5676], [0.1455, 0.1310, 0.7357], [0.7073, 0.8086, 0.2961], [0.8569, 0.5580, 0.0890], [0.9261, 0.3528, 0.5668], [0.5005, 0.9571, 0.2771], [0.2465, 0.4490, 0.7508], [0.3526, 0.6308, 0.7515], [0.4232, 0.2135, 0.2433], [0.5467, 0.6115, 0.5526], [0.9615, 0.2248, 0.4445], [0.8957, 0.5823, 0.9410], [0.0019, 0.6806, 0.2472], [0.4615, 0.7248, 0.4445], [0.1480, 0.5343, 0.2476], [0.0297, 0.2177, 0.0719], [0.2531, 0.9381, 0.7330], [0.0846, 0.9546, 0.7399], [0.2073, 0.3086, 0.2961], [0.8476, 0.7803, 0.5804], [0.4612, 0.9420, 0.9246], [0.0696, 0.3564, 0.9266], [0.7354, 0.7259, 0.2520], [0.6434, 0.7004, 0.2472], [0.2520, 0.7296, 0.2385], [0.4317, 0.4507, 0.7570], [0.6985, 0.4740, 0.2783], [0.3526, 0.2988, 0.7533], [0.7587, 0.7452, 0.0302], [0.6061, 0.4157, 0.5676], [0.4502, 0.8117, 0.0838], [0.3455, 0.6905, 0.7736], [0.4993, 0.6262, 0.2677], [0.2324, 0.8908, 0.2563], [0.9862, 0.5266, 0.7168], [0.9993, 0.1262, 0.2677], [0.7586, 0.9166, 0.5232], [0.5868, 0.8770, 0.2504], [0.5353, 0.0548, 0.0741], [0.3374, 0.3885, 0.0683], [0.5900, 0.5433, 0.2501], [0.1985, 0.9740, 0.2783], [0.9287, 0.6832, 0.5791], [0.6403, 0.2977, 0.7316], [0.3476, 0.2803, 0.5804], [0.4290, 0.5472, 0.2522], [0.0658, 0.0201, 0.9171], [0.0642, 0.9772, 0.4110], [0.9471, 0.6471, 0.0770], [0.8489, 0.1451, 0.2459], [0.3415, 0.3577, 0.7547], [0.0005, 0.4571, 0.2771], [0.2555, 0.3969, 0.2535], [0.9606, 0.1067, 0.9352], [0.4354, 0.5181, 0.5738], [0.2548, 0.2726, 0.7490], [0.2466, 0.0816, 0.5011], [0.2586, 0.4166, 0.5232], [0.1502, 0.1924, 0.7496], [0.2005, 0.3592, 0.7878], [0.0022, 0.0128, 0.2425], [0.3507, 0.9641, 0.7465], [0.4626, 0.0572, 0.4388], [0.6472, 0.3082, 0.2498], [0.6447, 0.9526, 0.9225], [0.8424, 0.4771, 0.2405], [0.8404, 0.8108, 0.2528], [0.6455, 0.6310, 0.7357], [0.1053, 0.4171, 0.0617], [0.5010, 0.1535, 0.7468], [0.0353, 0.5548, 0.0741], [0.5019, 0.1806, 0.2472], [0.3578, 0.6227, 0.5832], [0.1403, 0.7977, 0.7316], [0.8526, 0.2036, 0.2569], [0.4942, 0.8208, 0.7420], [0.8531, 0.5357, 0.2567], [0.9410, 0.9829, 0.0689], [0.5635, 0.1874, 0.9187], [0.9907, 0.7949, 0.2557], [0.9232, 0.7135, 0.2433], [0.7324, 0.3908, 0.2563], [0.3950, 0.5872, 0.4375], [0.9011, 0.4170, 0.4597], [0.2510, 0.5903, 0.0200], [0.7531, 0.4381, 0.7330], [0.0900, 0.0433, 0.2501], [0.8455, 0.1905, 0.7736], [0.4271, 0.7799, 0.7683], [0.1379, 0.1156, 0.9094], [0.2551, 0.1149, 0.7653], [0.7528, 0.5600, 0.2425], [0.7496, 0.2784, 0.7694], [0.3496, 0.3695, 0.2483], [0.6059, 0.5843, 0.0602], [0.8950, 0.0872, 0.4375], [0.6403, 0.3664, 0.2393], [0.5396, 0.3811, 0.0638], [0.7466, 0.5816, 0.5011], [0.8992, 0.7498, 0.4431], [0.2502, 0.7516, 0.5037], [0.1415, 0.2141, 0.4275], [0.6461, 0.9673, 0.7391], [0.5014, 0.8461, 0.2496], [0.8973, 0.9160, 0.9459], [0.9317, 0.9507, 0.7570], [0.8912, 0.2498, 0.9329], [0.6400, 0.9733, 0.2443], [0.6051, 0.7499, 0.5782], [0.1059, 0.0843, 0.0602], [0.3957, 0.0823, 0.9410], [0.9616, 0.7747, 0.9377], [0.8491, 0.4634, 0.5679], [0.3424, 0.9771, 0.2405], [0.7555, 0.8969, 0.2535], [0.1434, 0.2004, 0.2472], [0.8476, 0.5248, 0.7798], [0.5820, 0.1216, 0.7448], [0.2605, 0.9129, 0.0265], [0.5297, 0.7177, 0.0719], [0.9626, 0.5572, 0.4388], [0.0403, 0.4485, 0.5639], [0.0847, 0.2877, 0.7441], [0.6415, 0.7141, 0.4275], [0.4908, 0.3700, 0.7493], [0.4606, 0.6067, 0.9352], [0.1472, 0.8082, 0.2498], [0.1473, 0.5293, 0.7465], [0.1439, 0.1388, 0.2413], [0.8159, 0.6953, 0.6831], [0.3159, 0.1953, 0.6831], [0.7510, 0.0903, 0.0200], [0.9290, 0.0472, 0.2522], [0.0657, 0.3129, 0.4241], [0.1403, 0.8664, 0.2393], [0.7548, 0.7726, 0.7490], [0.5430, 0.2776, 0.5471], [0.0868, 0.3770, 0.2504], [0.1067, 0.5842, 0.5681], [0.8415, 0.8577, 0.7547], [0.7005, 0.8592, 0.7878], [0.4860, 0.6962, 0.7241], [0.3973, 0.4160, 0.9459], [0.9908, 0.8700, 0.7493], [0.1051, 0.2499, 0.5782], [0.7502, 0.2516, 0.5037], [0.4616, 0.2747, 0.9377], [0.9617, 0.8919, 0.4296], [0.1458, 0.5499, 0.4266], [0.6458, 0.0499, 0.4266], [0.9860, 0.1962, 0.7241], [0.5403, 0.9485, 0.5639], [0.6480, 0.0343, 0.2476], [0.8507, 0.4641, 0.7465], [0.1316, 0.7834, 0.9051], [0.0016, 0.9867, 0.7413], [0.8526, 0.1308, 0.7515], [0.9502, 0.3117, 0.0838], [0.8198, 0.0189, 0.7167], [0.8578, 0.1227, 0.5832], [0.0396, 0.8811, 0.0638], [0.5658, 0.5201, 0.9171], [0.3198, 0.5189, 0.7167], [0.7605, 0.4129, 0.0265], [0.3531, 0.0357, 0.2567], [0.6053, 0.9171, 0.0617], [0.6449, 0.3593, 0.7392], [0.2528, 0.0600, 0.2425], [0.0467, 0.1115, 0.5526], [0.1059, 0.7503, 0.0620], [0.0820, 0.6216, 0.7448], [0.4309, 0.1170, 0.7678], [0.2443, 0.5517, 0.2476], [0.6316, 0.2834, 0.9051], [0.9354, 0.0181, 0.5738], [0.3526, 0.7036, 0.2569], [0.0614, 0.6455, 0.4163], [0.3476, 0.0248, 0.7798], [0.2551, 0.6046, 0.7418], [0.8570, 0.2253, 0.0910], [0.7443, 0.0517, 0.2476], [0.4245, 0.8802, 0.2439], [0.6353, 0.3811, 0.4053], [0.7465, 0.9490, 0.7508], [0.8374, 0.8885, 0.0683], [0.0014, 0.3461, 0.2496], [0.0010, 0.6535, 0.7468], [0.2496, 0.7784, 0.7694], [0.5696, 0.8564, 0.9266], [0.5657, 0.8129, 0.4241], [0.7551, 0.6149, 0.7653], [0.6473, 0.0293, 0.7465], [0.4410, 0.4829, 0.0689], [0.6502, 0.6924, 0.7496], [0.8173, 0.9811, 0.2117], [0.9271, 0.2799, 0.7683], [0.4907, 0.2949, 0.2557]],
  "total_magnetization_mub_per_atom": 0.00
}

=====

Of all the structures shown, which is most stable? *P*, and *Q* is the least stable.